1.
The following is a DFT calculation (PBE) of crystalline TeWSe at its relaxed geometry.

a = 3.438 Å, b = 3.438 Å, c = 39.193 Å
α = 90.00°, β = 90.00°, γ = 120.00°
Sites, in units of the cell vectors:
Te: 0.333 0.667 0.329
Te: 0.333 0.667 0.705
Te: 0.333 0.667 0.234
Te: 0.333 0.667 0.610
W: 0.333 0.667 0.094
W: 0.333 0.667 0.470
W: 0.667 0.333 0.282
W: 0.667 0.333 0.658
Se: 0.667 0.333 0.052
Se: 0.667 0.333 0.428
Se: 0.667 0.333 0.136
Se: 0.667 0.333 0.512

Crystal system ... trigonal
E ... -6.82 eV per atom
Space group ... P3m1, No. 156
DFT formation energy ... -0.446 eV per atom

---

2.
The following is a DFT calculation (PBE) of crystalline Te2W3Se4 at its relaxed geometry.

a = 3.400 Å, b = 3.400 Å, c = 31.483 Å
α = 90.00°, β = 90.00°, γ = 120.00°
Sites, in units of the cell vectors:
Te: 0.000 0.000 0.060
Te: 0.000 0.000 0.940
W: 0.000 0.000 0.769
W: 0.000 0.000 0.231
W: 0.333 0.667 0.000
Se: 0.333 0.667 0.716
Se: 0.333 0.667 0.179
Se: 0.333 0.667 0.821
Se: 0.333 0.667 0.284

Crystal system ... hexagonal
E ... -6.94 eV per atom
Space group ... P-6m2, No. 187
DFT formation energy ... -0.581 eV per atom

---

3.
The following is a DFT calculation (PBE) of crystalline Te2W3Se4 at its relaxed geometry.

a = 3.396 Å, b = 3.396 Å, c = 31.474 Å
α = 90.00°, β = 90.00°, γ = 120.00°
Sites, in units of the cell vectors:
Te: 0.333 0.667 0.518
Te: 0.333 0.667 0.638
W: 0.000 0.000 0.116
W: 0.000 0.000 0.578
W: 0.333 0.667 0.347
Se: 0.000 0.000 0.400
Se: 0.333 0.667 0.063
Se: 0.333 0.667 0.168
Se: 0.000 0.000 0.294

Crystal system ... trigonal
E ... -6.94 eV per atom
Space group ... P3m1, No. 156
DFT formation energy ... -0.581 eV per atom

---

4.
The following is a DFT calculation (PBE) of crystalline Te4W3Se2 at its relaxed geometry.

a = 3.478 Å, b = 3.478 Å, c = 32.083 Å
α = 90.00°, β = 90.00°, γ = 120.00°
Sites, in units of the cell vectors:
Te: 0.333 0.667 0.711
Te: 0.333 0.667 0.174
Te: 0.333 0.667 0.826
Te: 0.333 0.667 0.289
W: 0.000 0.000 0.769
W: 0.000 0.000 0.231
W: 0.333 0.667 0.000
Se: 0.000 0.000 0.051
Se: 0.000 0.000 0.949

Crystal system ... hexagonal
E ... -6.71 eV per atom
Space group ... P-6m2, No. 187
DFT formation energy ... -0.317 eV per atom

---

5.
The following is a DFT calculation (PBE) of crystalline TeWSe at its relaxed geometry.

a = 3.438 Å, b = 3.438 Å, c = 39.194 Å
α = 90.00°, β = 90.00°, γ = 120.00°
Sites, in units of the cell vectors:
Te: 0.333 0.667 0.705
Te: 0.667 0.333 0.422
Te: 0.667 0.333 0.517
Te: 0.333 0.667 0.610
W: 0.333 0.667 0.094
W: 0.333 0.667 0.470
W: 0.667 0.333 0.282
W: 0.667 0.333 0.658
Se: 0.333 0.667 0.324
Se: 0.667 0.333 0.052
Se: 0.667 0.333 0.136
Se: 0.333 0.667 0.240

Crystal system ... trigonal
E ... -6.82 eV per atom
Space group ... P3m1, No. 156
DFT formation energy ... -0.446 eV per atom

---

6.
The following is a DFT calculation (PBE) of crystalline TeWSe at its relaxed geometry.

a = 3.438 Å, b = 3.438 Å, c = 39.187 Å
α = 90.00°, β = 90.00°, γ = 120.00°
Sites, in units of the cell vectors:
Te: 0.333 0.667 0.329
Te: 0.667 0.333 0.671
Te: 0.667 0.333 0.766
Te: 0.333 0.667 0.234
W: 0.333 0.667 0.718
W: 0.333 0.667 0.094
W: 0.667 0.333 0.906
W: 0.667 0.333 0.282
Se: 0.333 0.667 0.948
Se: 0.667 0.333 0.052
Se: 0.667 0.333 0.136
Se: 0.333 0.667 0.864

Crystal system ... trigonal
E ... -6.82 eV per atom
Space group ... P-3m1, No. 164
DFT formation energy ... -0.446 eV per atom

---

7.
The following is a DFT calculation (PBE) of crystalline Te4W3Se2 at its relaxed geometry.

a = 3.477 Å, b = 3.477 Å, c = 32.125 Å
α = 90.00°, β = 90.00°, γ = 120.00°
Sites, in units of the cell vectors:
Te: 0.000 0.000 0.405
Te: 0.333 0.667 0.521
Te: 0.333 0.667 0.636
Te: 0.000 0.000 0.289
W: 0.000 0.000 0.116
W: 0.000 0.000 0.578
W: 0.333 0.667 0.347
Se: 0.333 0.667 0.065
Se: 0.333 0.667 0.166

Crystal system ... trigonal
E ... -6.71 eV per atom
Space group ... P3m1, No. 156
DFT formation energy ... -0.317 eV per atom

---

8.
The following is a DFT calculation (PBE) of crystalline TeWSe at its relaxed geometry.

a = 3.437 Å, b = 3.437 Å, c = 24.474 Å
α = 90.00°, β = 90.00°, γ = 120.00°
Sites, in units of the cell vectors:
Te: 0.333 0.667 0.528
Te: 0.333 0.667 0.375
W: 0.333 0.667 0.150
W: 0.667 0.333 0.451
Se: 0.667 0.333 0.083
Se: 0.667 0.333 0.218

Crystal system ... trigonal
E ... -6.82 eV per atom
Space group ... P3m1, No. 156
DFT formation energy ... -0.445 eV per atom

---

9.
The following is a DFT calculation (PBE) of crystalline Th7Se12 at its relaxed geometry.

a = 4.123 Å, b = 11.723 Å, c = 11.723 Å
α = 120.00°, β = 90.00°, γ = 90.00°
Sites, in units of the cell vectors:
Th: 0.750 0.000 0.000
Th: 0.750 0.718 0.564
Th: 0.750 0.436 0.154
Th: 0.750 0.846 0.282
Th: 0.250 0.286 0.443
Th: 0.250 0.557 0.843
Th: 0.250 0.157 0.714
Se: 0.750 0.005 0.752
Se: 0.750 0.248 0.253
Se: 0.750 0.747 0.995
Se: 0.250 0.995 0.212
Se: 0.250 0.788 0.783
Se: 0.250 0.217 0.005
Se: 0.750 0.375 0.862
Se: 0.750 0.138 0.513
Se: 0.750 0.487 0.625
Se: 0.250 0.618 0.140
Se: 0.250 0.860 0.478
Se: 0.250 0.522 0.382

Crystal system ... hexagonal
E ... -6.68 eV per atom
Space group ... P-6, No. 174
DFT formation energy ... -2.042 eV per atom

---

10.
The following is a DFT calculation (PBE) of crystalline ThSe at its relaxed geometry.

a = 3.658 Å, b = 3.658 Å, c = 3.658 Å
α = 90.00°, β = 90.00°, γ = 90.00°
Sites, in units of the cell vectors:
Th: 0.500 0.500 0.500
Se: 0.000 0.000 0.000

Crystal system ... cubic
E ... -6.83 eV per atom
Space group ... Pm-3m, No. 221
DFT formation energy ... -1.607 eV per atom

---

11.
The following is a DFT calculation (PBE) of crystalline ThSe at its relaxed geometry.

a = 4.205 Å, b = 4.205 Å, c = 4.205 Å
α = 60.00°, β = 60.00°, γ = 60.00°
Sites, in units of the cell vectors:
Th: 0.500 0.500 0.500
Se: 0.000 0.000 0.000

Crystal system ... cubic
E ... -7.00 eV per atom
Space group ... Fm-3m, No. 225
DFT formation energy ... -1.785 eV per atom

---

12.
The following is a DFT calculation (PBE) of crystalline Th3Se at its relaxed geometry.

a = 6.856 Å, b = 6.856 Å, c = 5.592 Å
α = 90.00°, β = 90.00°, γ = 120.00°
Sites, in units of the cell vectors:
Th: 0.830 0.170 0.750
Th: 0.340 0.170 0.750
Th: 0.830 0.660 0.750
Th: 0.170 0.340 0.250
Th: 0.660 0.830 0.250
Th: 0.170 0.830 0.250
Se: 0.667 0.333 0.250
Se: 0.333 0.667 0.750

Crystal system ... hexagonal
E ... -6.71 eV per atom
Space group ... P6_3/mmc, No. 194
DFT formation energy ... -0.392 eV per atom